Here is CuH22C8N10O after structural relaxation from the Materials Project database. Energies are from PBE-GGA. Values from VASP.

Computed properties:
- space-group type = C2/c
- ΔH_f (0 K) (eV/atom) = -0.196
- uncorrected energy (eV for the cell shown) = -993.7

Cell and atoms, written as Quantum ESPRESSO input:
```
&SYSTEM
  ibrav = 0, nat = 168, ntyp = 5
/
ATOMIC_SPECIES
H 1.01 H.upf
N 14.01 N.upf
C 12.01 C.upf
O 16.00 O.upf
Cu 63.55 Cu.upf
CELL_PARAMETERS angstrom
12.969 -8.978 2.321
14.745 -5.026 -3.394
9.071 7.218 7.809
ATOMIC_POSITIONS crystal
H 0.335 0.968 0.674
H 0.085 0.743 0.851
H 0.243 0.832 0.557
H 0.666 0.764 0.225
H 0.704 0.783 0.893
H 0.457 0.861 0.966
H 0.507 0.742 0.917
H 0.228 0.839 0.163
H 0.757 0.168 0.443
H 0.915 0.257 0.149
H 0.161 0.772 0.337
H 0.179 0.468 0.034
H 0.968 0.335 0.174
H 0.114 0.646 0.308
H 0.417 0.065 0.865
H 0.070 0.622 0.706
H 0.665 0.032 0.326
H 0.625 0.477 0.619
H 0.375 0.523 0.381
H 0.268 0.447 0.247
H 0.861 0.457 0.466
H 0.603 0.326 0.671
H 0.772 0.161 0.837
H 0.065 0.417 0.365
H 0.670 0.069 0.595
H 0.693 0.148 0.951
H 0.852 0.307 0.549
H 0.139 0.543 0.534
H 0.589 0.695 0.128
H 0.447 0.268 0.747
H 0.148 0.693 0.451
H 0.322 0.573 0.063
H 0.168 0.757 0.943
H 0.468 0.179 0.534
H 0.930 0.378 0.294
H 0.695 0.589 0.628
H 0.886 0.354 0.692
H 0.732 0.553 0.753
H 0.032 0.665 0.826
H 0.532 0.821 0.466
H 0.296 0.217 0.107
H 0.307 0.852 0.049
H 0.354 0.886 0.192
H 0.742 0.507 0.417
H 0.258 0.493 0.583
H 0.764 0.666 0.725
H 0.257 0.915 0.649
H 0.069 0.670 0.095
H 0.128 0.095 0.949
H 0.326 0.603 0.171
H 0.992 0.556 0.247
H 0.411 0.305 0.872
H 0.646 0.114 0.808
H 0.898 0.200 0.880
H 0.573 0.322 0.563
H 0.583 0.935 0.135
H 0.553 0.732 0.253
H 0.931 0.330 0.905
H 0.839 0.228 0.663
H 0.743 0.085 0.351
H 0.095 0.128 0.449
H 0.556 0.992 0.747
H 0.821 0.532 0.966
H 0.008 0.444 0.753
H 0.236 0.334 0.275
H 0.477 0.625 0.119
H 0.935 0.583 0.635
H 0.102 0.800 0.120
H 0.622 0.070 0.206
H 0.493 0.258 0.083
H 0.305 0.411 0.372
H 0.217 0.296 0.607
H 0.200 0.898 0.380
H 0.832 0.243 0.057
H 0.397 0.674 0.329
H 0.444 0.008 0.253
H 0.334 0.236 0.775
H 0.783 0.704 0.393
H 0.800 0.102 0.620
H 0.905 0.872 0.551
H 0.523 0.375 0.881
H 0.872 0.905 0.051
H 0.543 0.139 0.034
H 0.378 0.930 0.794
H 0.427 0.678 0.437
H 0.674 0.397 0.829
H 0.330 0.931 0.405
H 0.678 0.427 0.937
N 0.553 0.064 0.854
N 0.236 0.237 0.066
N 0.129 0.739 0.778
N 0.308 0.964 0.750
N 0.248 0.088 0.034
N 0.950 0.428 0.990
N 0.021 0.231 0.962
N 0.871 0.261 0.222
N 0.763 0.764 0.434
N 0.936 0.447 0.646
N 0.838 0.308 0.387
N 0.428 0.950 0.490
N 0.263 0.709 0.461
N 0.237 0.236 0.566
N 0.088 0.248 0.534
N 0.692 0.036 0.250
N 0.162 0.692 0.613
N 0.050 0.572 0.010
N 0.793 0.217 0.106
N 0.752 0.912 0.966
N 0.739 0.129 0.278
N 0.231 0.021 0.462
N 0.036 0.692 0.750
N 0.709 0.263 0.961
N 0.979 0.769 0.038
N 0.769 0.979 0.538
N 0.291 0.737 0.039
N 0.447 0.936 0.146
N 0.912 0.752 0.466
N 0.572 0.050 0.510
N 0.217 0.793 0.606
N 0.692 0.162 0.113
N 0.783 0.207 0.394
N 0.064 0.553 0.354
N 0.207 0.783 0.894
N 0.737 0.291 0.539
N 0.764 0.763 0.934
N 0.964 0.308 0.250
N 0.308 0.838 0.887
N 0.261 0.871 0.722
C 0.076 0.252 0.995
C 0.695 0.906 0.919
C 0.113 0.709 0.714
C 0.513 0.195 0.819
C 0.748 0.924 0.505
C 0.195 0.513 0.319
C 0.912 0.538 0.692
C 0.906 0.695 0.419
C 0.805 0.487 0.681
C 0.323 0.743 0.399
C 0.257 0.677 0.101
C 0.924 0.748 0.005
C 0.787 0.267 0.437
C 0.743 0.323 0.899
C 0.088 0.462 0.308
C 0.538 0.912 0.192
C 0.236 0.671 0.405
C 0.291 0.887 0.786
C 0.213 0.733 0.563
C 0.462 0.088 0.808
C 0.305 0.094 0.081
C 0.329 0.764 0.095
C 0.709 0.113 0.214
C 0.677 0.257 0.601
C 0.671 0.236 0.905
C 0.887 0.291 0.286
C 0.252 0.076 0.495
C 0.487 0.805 0.181
C 0.764 0.329 0.595
C 0.733 0.213 0.063
C 0.094 0.305 0.581
C 0.267 0.787 0.937
O 0.555 0.756 0.919
O 0.445 0.244 0.081
O 0.756 0.555 0.419
O 0.244 0.445 0.581
Cu 0.500 0.000 0.500
Cu 0.794 0.206 0.250
Cu 0.000 0.500 0.000
Cu 0.206 0.794 0.750
```

***

Here is CuH14C4N4O8 after structural relaxation from the Materials Project database. Energies are from PBE-GGA. Values from VASP.

Computed properties:
- space-group type = P2_1/c
- energy above the lowest structure with this stoichiometry (eV per atom) = 0.150
- ΔH_f (0 K) (eV/atom) = -0.733
- uncorrected energy (eV for the cell shown) = -357.3

Cell and atoms, written as Quantum ESPRESSO input:
```
&SYSTEM
  ibrav = 0, nat = 62, ntyp = 5
/
ATOMIC_SPECIES
H 1.01 H.upf
O 16.00 O.upf
C 12.01 C.upf
N 14.01 N.upf
Cu 63.55 Cu.upf
CELL_PARAMETERS angstrom
-0.795 7.351 -1.985
0.270 -2.193 -8.230
-9.072 -1.225 -0.903
ATOMIC_POSITIONS crystal
H 0.416 0.619 0.592
H 0.637 0.470 0.825
H 0.009 0.218 0.630
H 0.509 0.782 0.870
H 0.491 0.218 0.130
H 0.820 0.289 0.544
H 0.084 0.619 0.092
H 0.584 0.381 0.408
H 0.680 0.289 0.044
H 0.991 0.782 0.370
H 0.322 0.929 0.795
H 0.180 0.711 0.456
H 0.137 0.530 0.675
H 0.473 0.656 0.431
H 0.678 0.071 0.205
H 0.840 0.739 0.572
H 0.340 0.261 0.928
H 0.027 0.656 0.931
H 0.916 0.381 0.908
H 0.660 0.739 0.072
H 0.822 0.071 0.705
H 0.527 0.344 0.569
H 0.178 0.929 0.295
H 0.363 0.530 0.175
H 0.863 0.470 0.325
H 0.320 0.711 0.956
H 0.973 0.344 0.069
H 0.160 0.261 0.428
O 0.418 0.433 0.698
O 0.388 0.076 0.299
O 0.216 0.067 0.104
O 0.612 0.924 0.701
O 0.907 0.297 0.991
O 0.082 0.433 0.198
O 0.582 0.567 0.302
O 0.093 0.703 0.009
O 0.716 0.933 0.396
O 0.784 0.933 0.896
O 0.407 0.703 0.509
O 0.284 0.067 0.604
O 0.888 0.924 0.201
O 0.112 0.076 0.799
O 0.918 0.567 0.802
O 0.593 0.297 0.491
C 0.492 0.587 0.186
C 0.758 0.979 0.265
C 0.258 0.021 0.235
C 0.992 0.413 0.314
C 0.242 0.021 0.735
C 0.008 0.587 0.686
C 0.742 0.979 0.765
C 0.508 0.413 0.814
N 0.047 0.694 0.438
N 0.453 0.694 0.938
N 0.459 0.315 0.928
N 0.541 0.685 0.072
N 0.959 0.685 0.572
N 0.953 0.306 0.562
N 0.041 0.315 0.428
N 0.547 0.306 0.062
Cu 0.000 0.000 0.000
Cu 0.500 0.000 0.500
```

***

Here is CuH14C4N4O8 after structural relaxation from the Materials Project database. Energies are from PBE-GGA. Values from VASP.

Computed properties:
- space-group type = P2_1/c
- energy above the lowest structure with this stoichiometry (eV per atom) = 0.303
- ΔH_f (0 K) (eV/atom) = -0.580
- uncorrected energy (eV for the cell shown) = -347.9

Cell and atoms, written as Quantum ESPRESSO input:
```
&SYSTEM
  ibrav = 0, nat = 62, ntyp = 5
/
ATOMIC_SPECIES
H 1.01 H.upf
N 14.01 N.upf
O 16.00 O.upf
C 12.01 C.upf
Cu 63.55 Cu.upf
CELL_PARAMETERS angstrom
-6.068 -5.663 4.733
5.383 -0.009 5.020
-4.065 8.010 4.373
ATOMIC_POSITIONS crystal
H 0.148 0.479 0.368
H 0.358 0.376 0.496
H 0.858 0.376 0.004
H 0.104 0.342 0.053
H 0.925 0.200 0.740
H 0.648 0.479 0.132
H 0.697 0.947 0.845
H 0.113 0.817 0.471
H 0.896 0.658 0.947
H 0.514 0.249 0.325
H 0.642 0.624 0.504
H 0.986 0.751 0.825
H 0.303 0.053 0.155
H 0.142 0.624 0.996
H 0.425 0.200 0.760
H 0.197 0.947 0.655
H 0.396 0.658 0.553
H 0.604 0.342 0.447
H 0.852 0.521 0.632
H 0.887 0.183 0.529
H 0.014 0.249 0.175
H 0.486 0.751 0.675
H 0.803 0.053 0.345
H 0.575 0.800 0.240
H 0.352 0.521 0.868
H 0.075 0.800 0.260
H 0.613 0.817 0.029
H 0.387 0.183 0.971
N 0.071 0.311 0.531
N 0.929 0.689 0.469
N 0.548 0.741 0.962
N 0.429 0.689 0.031
N 0.048 0.741 0.538
N 0.571 0.311 0.969
N 0.452 0.259 0.038
N 0.952 0.259 0.462
O 0.372 0.131 0.687
O 0.214 0.035 0.850
O 0.479 0.750 0.577
O 0.979 0.750 0.923
O 0.702 0.531 0.477
O 0.521 0.250 0.423
O 0.286 0.965 0.350
O 0.128 0.869 0.187
O 0.798 0.469 0.977
O 0.298 0.469 0.523
O 0.786 0.965 0.150
O 0.021 0.250 0.077
O 0.628 0.869 0.313
O 0.714 0.035 0.650
O 0.202 0.531 0.023
O 0.872 0.131 0.813
C 0.753 0.033 0.767
C 0.664 0.426 0.031
C 0.253 0.033 0.733
C 0.747 0.967 0.267
C 0.836 0.574 0.531
C 0.164 0.426 0.469
C 0.247 0.967 0.233
C 0.336 0.574 0.969
Cu 0.000 0.000 0.000
Cu 0.500 0.000 0.500
```

***

Here is CuH14C4N4O8 after structural relaxation from the Materials Project database. Energies are from PBE-GGA. Values from VASP.

Computed properties:
- space-group type = P2_1/c
- energy above the lowest structure with this stoichiometry (eV per atom) = 0.200
- ΔH_f (0 K) (eV/atom) = -0.683
- uncorrected energy (eV for the cell shown) = -354.2

Cell and atoms, written as Quantum ESPRESSO input:
```
&SYSTEM
  ibrav = 0, nat = 62, ntyp = 5
/
ATOMIC_SPECIES
N 14.01 N.upf
H 1.01 H.upf
O 16.00 O.upf
C 12.01 C.upf
Cu 63.55 Cu.upf
CELL_PARAMETERS angstrom
8.035 0.000 0.000
0.000 8.869 0.000
0.000 0.606 9.593
ATOMIC_POSITIONS crystal
N 0.537 0.130 0.716
N 0.533 0.966 0.739
N 0.463 0.870 0.284
N 0.967 0.466 0.739
N 0.033 0.534 0.261
N 0.467 0.034 0.261
N 0.963 0.630 0.716
N 0.037 0.370 0.284
H 0.044 0.119 0.653
H 0.155 0.567 0.250
H 0.059 0.595 0.516
H 0.505 0.052 0.160
H 0.477 0.388 0.624
H 0.703 0.462 0.286
H 0.544 0.381 0.347
H 0.797 0.962 0.286
H 0.297 0.538 0.714
H 0.523 0.612 0.376
H 0.845 0.433 0.750
H 0.839 0.685 0.063
H 0.203 0.038 0.714
H 0.977 0.112 0.376
H 0.559 0.905 0.484
H 0.345 0.067 0.250
H 0.661 0.185 0.063
H 0.005 0.448 0.840
H 0.995 0.552 0.160
H 0.941 0.405 0.484
H 0.495 0.948 0.840
H 0.956 0.881 0.347
H 0.441 0.095 0.516
H 0.655 0.933 0.750
H 0.161 0.315 0.937
H 0.023 0.888 0.624
H 0.456 0.619 0.653
H 0.339 0.815 0.937
O 0.419 0.536 0.718
O 0.116 0.802 0.042
O 0.206 0.111 0.041
O 0.581 0.464 0.282
O 0.884 0.198 0.958
O 0.973 0.183 0.454
O 0.794 0.889 0.959
O 0.081 0.036 0.718
O 0.027 0.817 0.546
O 0.384 0.302 0.042
O 0.473 0.317 0.546
O 0.616 0.698 0.958
O 0.294 0.611 0.041
O 0.919 0.964 0.282
O 0.527 0.683 0.454
O 0.706 0.389 0.959
C 0.747 0.254 0.996
C 0.017 0.671 0.594
C 0.253 0.746 0.004
C 0.247 0.246 0.004
C 0.517 0.829 0.406
C 0.753 0.754 0.996
C 0.983 0.329 0.406
C 0.483 0.171 0.594
Cu 0.000 0.000 0.000
Cu 0.500 0.500 0.000
```